# GGA-PBE Rb2AlHgBr6, optimized geometry
# DFT total energy   -109.98 eV per cell
# Crystal system   cubic
# Mass density   4.3 g cm⁻³
# Formation energy from the elements   -14.868 eV per formula unit
data_Rb2AlHgBr6
_space_group_name_H-M_alt 'F m -3 m'
_space_group_IT_number 225
_space_group_name_Hall '-F 4 2 3'
_cell_length_a 11.105
_cell_length_b 11.105
_cell_length_c 11.105
_cell_angle_alpha 90.00
_cell_angle_beta 90.00
_cell_angle_gamma 90.00
loop_
_atom_site_label
_atom_site_type_symbol
_atom_site_fract_x
_atom_site_fract_y
_atom_site_fract_z
Rb1 Rb 0.250 0.250 0.250
Al1 Al 0.000 0.000 0.000
Hg1 Hg 0.000 0.000 0.500
Br1 Br 0.000 0.000 0.230